A relaxed structure of Li7VO5F. Source: the Materials Project database, functional PBE+U. Values from VASP.

Formation energy ... -2.33 eV per atom
Energy relative to the lowest polymorph listed for this composition ... 0.037 eV/atom
Largest piezoelectric modulus ... 1.212 C/m2
M_tot ... 1.00 μB/f.u.
Total DFT energy (no corrections) ... -76.07 eV per cell

```
&SYSTEM
  ibrav = 0, nat = 14, ntyp = 4
/
ATOMIC_SPECIES
O 16.00 O.upf
Li 6.94 Li.upf
F 19.00 F.upf
V 50.94 V.upf
ATOMIC_POSITIONS crystal
O 0.1243 0.3545 0.7528
Li 0.3155 0.3579 0.9639
F 0.6008 0.2138 0.2697
Li 0.7722 0.4944 0.6666
V 0.0371 0.9740 0.9797
Li 0.5255 0.8720 0.3156
O 0.3684 0.7597 0.7587
O 0.7737 0.1018 0.7813
Li 0.8825 0.2749 0.3320
Li 0.2513 0.5107 0.3545
O 0.1880 0.9343 0.2409
Li 0.5065 0.0609 0.6798
Li 0.0685 0.7642 0.6540
O 0.9294 0.6218 0.2397
CELL_PARAMETERS angstrom
5.5228 0.0000 0.0000
2.6749 4.8697 0.0000
2.6275 1.6959 4.8518
```

A relaxed structure of Li2VO2F. Source: the Materials Project database, functional PBE+U. Values from VASP.

Formation energy ... -2.65 eV per atom
Energy relative to the lowest polymorph listed for this composition ... 0.059 eV/atom
M_tot ... 0.00 μB/f.u.
Total DFT energy (no corrections) ... -148.39 eV per cell

```
&SYSTEM
  ibrav = 0, nat = 24, ntyp = 4
/
ATOMIC_SPECIES
O 16.00 O.upf
V 50.94 V.upf
Li 6.94 Li.upf
F 19.00 F.upf
ATOMIC_POSITIONS crystal
O 0.1216 0.6235 0.8835
O 0.8655 0.3778 0.6196
V 0.0818 0.9182 0.0000
O 0.0439 0.2133 0.1166
O 0.7867 0.9561 0.8834
Li 0.9073 0.0927 0.5000
Li 0.2537 0.7463 0.5000
O 0.3765 0.8784 0.1165
O 0.7116 0.5475 0.1148
Li 0.9863 0.4835 0.2499
O 0.4525 0.2884 0.8852
Li 0.3458 0.1628 0.2523
V 0.4157 0.5843 0.0000
F 0.2122 0.0434 0.6229
V 0.7487 0.2513 0.0000
O 0.6222 0.1345 0.3804
Li 0.1398 0.3358 0.7437
V 0.6046 0.3954 0.5000
F 0.9566 0.7878 0.3771
Li 0.8372 0.6542 0.7477
Li 0.5165 0.0137 0.7501
F 0.5408 0.6914 0.6181
F 0.3086 0.4592 0.3819
Li 0.6642 0.8602 0.2563
CELL_PARAMETERS angstrom
-3.6510 -2.8811 -2.2587
4.1824 -2.2496 2.0445
-4.4392 -2.5261 8.4518
```

A relaxed structure of LiVOF3. Source: the Materials Project database, functional PBE+U. Values from VASP.

Formation energy ... -2.96 eV per atom
Energy relative to the lowest polymorph listed for this composition ... 0.014 eV/atom
M_tot ... 0.00 μB/f.u.
Total DFT energy (no corrections) ... -142.78 eV per cell

```
&SYSTEM
  ibrav = 0, nat = 24, ntyp = 4
/
ATOMIC_SPECIES
F 19.00 F.upf
Li 6.94 Li.upf
O 16.00 O.upf
V 50.94 V.upf
ATOMIC_POSITIONS crystal
F 0.7605 0.5446 0.1767
F 0.6976 0.7132 0.9128
F 0.3129 0.2857 0.0889
F 0.2605 0.0446 0.3234
Li 0.0102 0.4919 0.9970
F 0.6977 0.2868 0.4128
F 0.1975 0.2133 0.5872
O 0.2466 0.5445 0.3133
V 0.9726 0.8328 0.2404
V 0.4723 0.6672 0.7596
F 0.1977 0.7867 0.0872
V 0.4725 0.3329 0.2596
V 0.9723 0.1672 0.7404
O 0.2463 0.4555 0.8132
O 0.7463 0.9556 0.6868
F 0.3127 0.7144 0.5889
Li 0.5104 0.0080 0.0031
F 0.8129 0.7856 0.4111
Li 0.0104 0.5080 0.4969
F 0.8127 0.2143 0.9111
F 0.7603 0.4555 0.6767
Li 0.5102 0.9918 0.5030
O 0.7466 0.0445 0.1868
F 0.2603 0.9554 0.8233
CELL_PARAMETERS angstrom
4.7145 0.0001 0.0002
0.0000 5.5717 -0.0001
0.0005 -0.0002 10.2838
```

A relaxed structure of LiV2OF5. Source: the Materials Project database, functional PBE+U. Values from VASP.

Formation energy ... -3.04 eV per atom
Energy relative to the lowest polymorph listed for this composition ... 0.026 eV/atom
M_tot ... 4.00 μB/f.u.
Total DFT energy (no corrections) ... -222.10 eV per cell

```
&SYSTEM
  ibrav = 0, nat = 36, ntyp = 4
/
ATOMIC_SPECIES
Li 6.94 Li.upf
F 19.00 F.upf
V 50.94 V.upf
O 16.00 O.upf
ATOMIC_POSITIONS crystal
Li 0.3707 0.4743 0.8793
F 0.6836 0.0572 0.8759
F 0.7991 0.6927 0.2473
Li 0.5257 0.6293 0.1207
F 0.9624 0.4719 0.5363
V 0.7551 0.8887 0.5599
F 0.7253 0.4669 0.3980
F 0.2555 0.0261 0.3471
F 0.1743 0.5736 0.3782
V 0.9027 0.9815 0.1901
F 0.4264 0.8257 0.6218
F 0.7941 0.2844 0.7134
O 0.2199 0.7237 0.7800
Li 0.0094 0.1382 0.6156
F 0.5331 0.2747 0.6020
F 0.9428 0.3164 0.1241
O 0.5399 0.4601 0.0000
V 0.2765 0.3704 0.0593
V 0.6296 0.7235 0.9407
O 0.0166 0.9834 0.5000
F 0.0473 0.5215 0.9627
V 0.4840 0.6366 0.3050
F 0.4998 0.2354 0.1527
V 0.0185 0.0973 0.8099
F 0.2357 0.9557 0.9036
Li 0.8618 0.9906 0.3844
O 0.2763 0.7801 0.2200
F 0.3073 0.2009 0.7527
F 0.9739 0.7445 0.6529
F 0.7156 0.2059 0.2866
F 0.7646 0.5002 0.8473
F 0.0443 0.7643 0.0964
V 0.1113 0.2449 0.4401
F 0.4785 0.9527 0.0373
F 0.5281 0.0376 0.4637
V 0.3634 0.5160 0.6950
CELL_PARAMETERS angstrom
1.5739 -1.4279 5.0920
4.6058 -2.8414 1.0759
11.5763 12.8283 4.2247
```

A relaxed structure of LiV2OF5. Source: the Materials Project database, functional PBE+U. Values from VASP.

Formation energy ... -3.03 eV per atom
Energy relative to the lowest polymorph listed for this composition ... 0.029 eV/atom
M_tot ... 4.00 μB/f.u.
Total DFT energy (no corrections) ... -222.00 eV per cell

```
&SYSTEM
  ibrav = 0, nat = 36, ntyp = 4
/
ATOMIC_SPECIES
F 19.00 F.upf
Li 6.94 Li.upf
O 16.00 O.upf
V 50.94 V.upf
ATOMIC_POSITIONS crystal
F 0.6950 0.7303 0.4672
Li 0.2842 0.3979 0.0609
O 0.0435 0.4479 0.6888
F 0.4741 0.0395 0.8253
V 0.0248 0.9741 0.9975
F 0.0684 0.0065 0.2823
F 0.7947 0.7554 0.0237
Li 0.3537 0.5677 0.6697
F 0.7862 0.2049 0.4322
F 0.2521 0.2005 0.9744
O 0.0344 0.4065 0.1559
O 0.2607 0.6664 0.4089
F 0.9850 0.9529 0.7159
F 0.6967 0.2927 0.0626
F 0.2004 0.8127 0.5727
F 0.5502 0.9427 0.1790
V 0.6587 0.6015 0.1288
Li 0.6269 0.7856 0.9237
Li 0.5053 0.6621 0.3155
V 0.8867 0.8676 0.3800
O 0.3055 0.6839 0.9378
F 0.5084 0.5318 0.7763
V 0.2366 0.2552 0.2454
F 0.5073 0.9239 0.6638
V 0.7612 0.7364 0.7457
F 0.7768 0.1623 0.9104
F 0.4722 0.4708 0.2258
F 0.9587 0.5830 0.8487
F 0.2446 0.7924 0.0898
F 0.9220 0.5560 0.3130
V 0.1050 0.1600 0.6276
F 0.6933 0.3600 0.5944
F 0.2740 0.2892 0.5349
V 0.3740 0.3919 0.8764
F 0.4967 0.0602 0.3310
V 0.4726 0.5191 0.4943
CELL_PARAMETERS angstrom
-3.2546 0.4063 -4.0964
-5.3804 -0.8815 0.8590
-4.1112 16.6767 1.9820
```

A relaxed structure of Li5V6O5F19. Source: the Materials Project database, functional PBE+U. Values from VASP.

Formation energy ... -2.93 eV per atom
Energy relative to the lowest polymorph listed for this composition ... 0.028 eV/atom
M_tot ... 6.00 μB/f.u.
Total DFT energy (no corrections) ... -205.37 eV per cell

```
&SYSTEM
  ibrav = 0, nat = 35, ntyp = 4
/
ATOMIC_SPECIES
F 19.00 F.upf
Li 6.94 Li.upf
O 16.00 O.upf
V 50.94 V.upf
ATOMIC_POSITIONS crystal
F 0.2814 0.8660 0.6972
F 0.4309 0.2057 0.5517
F 0.0828 0.0164 0.8859
F 0.2204 0.0447 0.3546
F 0.7195 0.1096 0.3206
Li 0.7146 0.0239 0.5063
Li 0.9584 0.2205 0.7890
F 0.0746 0.3712 0.2211
F 0.9199 0.5802 0.7827
O 0.7914 0.3036 0.9790
F 0.2996 0.1902 0.0230
V 0.5087 0.4919 0.9999
O 0.7816 0.9485 0.6453
Li 0.0333 0.6528 0.8904
F 0.5854 0.4763 0.1116
Li 0.2920 0.5187 0.4883
O 0.7820 0.6111 0.3131
F 0.0965 0.7158 0.5533
V 0.9826 0.0325 0.0007
F 0.7022 0.8062 0.9730
F 0.9085 0.9452 0.1127
O 0.2095 0.3601 0.6877
F 0.4245 0.8843 0.2203
Li 0.8272 0.6254 0.1738
F 0.9318 0.2830 0.4496
F 0.5708 0.7725 0.4494
V 0.0273 0.3608 0.3342
F 0.7163 0.4568 0.6398
F 0.3846 0.5367 0.8906
O 0.2840 0.5496 0.3537
V 0.4658 0.1888 0.6718
F 0.6167 0.1203 0.7776
V 0.5218 0.8097 0.3278
V 0.9755 0.6998 0.6636
F 0.1868 0.6871 0.0187
CELL_PARAMETERS angstrom
-0.0808 5.1841 -0.0033
5.3856 0.0965 -0.0220
2.7442 0.0645 -15.9431
```